Record 1
A plane-wave DFT calculation with PBE-GGA was carried out for a relaxed CsSmCdTe3 crystal.

Values from the calculation:
- Energy relative to the elements: -1.31 eV per atom
- Crystal system: orthorhombic

Geometry as CIF:
```
data_CsSmCdTe3
_symmetry_space_group_name_H-M 'P 1'
_symmetry_Int_Tables_number 1
_cell_length_a 8.998
_cell_length_b 8.998
_cell_length_c 12.036
_cell_angle_alpha 90.00
_cell_angle_beta 90.00
_cell_angle_gamma 150.34
loop_
_symmetry_equiv_pos_as_xyz
'x,y,z'
loop_
_atom_site_label
_atom_site_fract_x
_atom_site_fract_y
_atom_site_fract_z
Cs1 0.750 0.250 0.250
Cs2 0.250 0.750 0.750
Sm1 0.500 0.500 0.500
Sm2 0.500 0.500 0.000
Cd1 0.036 0.964 0.250
Cd2 0.964 0.036 0.750
Te1 0.879 0.121 0.550
Te2 0.121 0.879 0.450
Te3 0.121 0.879 0.050
Te4 0.879 0.121 0.950
Te5 0.434 0.566 0.250
Te6 0.566 0.434 0.750
```

=====

Record 2
A plane-wave DFT calculation with PBE-GGA was carried out for a relaxed GeB crystal.

Values from the calculation:
- Energy relative to the elements: 0.55 eV per atom
- Crystal system: hexagonal

Geometry as CIF:
```
data_GeB
_symmetry_space_group_name_H-M 'P 1'
_symmetry_Int_Tables_number 1
_cell_length_a 3.354
_cell_length_b 3.354
_cell_length_c 5.876
_cell_angle_alpha 90.00
_cell_angle_beta 90.00
_cell_angle_gamma 120.00
loop_
_symmetry_equiv_pos_as_xyz
'x,y,z'
loop_
_atom_site_label
_atom_site_fract_x
_atom_site_fract_y
_atom_site_fract_z
Ge1 0.667 0.333 0.863
Ge2 0.333 0.667 0.363
B1 0.667 0.333 0.512
B2 0.333 0.667 0.012
```

=====

Record 3
A plane-wave DFT calculation with PBE-GGA was carried out for a relaxed LiCuP3O9 crystal.

Values from the calculation:
- Excess energy over the best structure of this formula in the dataset: 64 meV/atom
- Energy relative to the elements: -2.34 eV per atom
- Crystal system: orthorhombic

Geometry as CIF:
```
data_LiCuP3O9
_symmetry_space_group_name_H-M 'P 1'
_symmetry_Int_Tables_number 1
_cell_length_a 7.979
_cell_length_b 8.791
_cell_length_c 12.391
_cell_angle_alpha 90.00
_cell_angle_beta 90.00
_cell_angle_gamma 90.00
loop_
_symmetry_equiv_pos_as_xyz
'x,y,z'
loop_
_atom_site_label
_atom_site_fract_x
_atom_site_fract_y
_atom_site_fract_z
Li1 0.004 0.364 0.995
Li2 0.496 0.636 0.495
Li3 0.504 0.136 0.005
Li4 0.996 0.864 0.505
Cu1 0.163 0.208 0.624
Cu2 0.337 0.792 0.124
Cu3 0.663 0.292 0.376
Cu4 0.837 0.708 0.876
P1 0.192 0.003 0.322
P2 0.171 0.491 0.190
P3 0.227 0.682 0.887
P4 0.273 0.318 0.387
P5 0.329 0.509 0.690
P6 0.308 0.997 0.822
P7 0.692 0.497 0.678
P8 0.671 0.009 0.810
P9 0.727 0.818 0.113
P10 0.773 0.182 0.613
P11 0.829 0.991 0.310
P12 0.808 0.503 0.178
O1 0.992 0.578 0.189
O2 0.061 0.599 0.894
O3 0.153 0.400 0.302
O4 0.200 0.386 0.709
O5 0.193 0.845 0.832
O6 0.236 0.938 0.213
O7 0.201 0.908 0.422
O8 0.184 0.384 0.096
O9 0.166 0.300 0.485
O10 0.334 0.700 0.985
O11 0.316 0.616 0.596
O12 0.299 0.092 0.922
O13 0.264 0.062 0.713
O14 0.307 0.155 0.332
O15 0.300 0.614 0.209
O16 0.347 0.600 0.802
O17 0.439 0.401 0.394
O18 0.508 0.422 0.689
O19 0.492 0.922 0.811
O20 0.561 0.901 0.106
O21 0.653 0.100 0.698
O22 0.700 0.114 0.291
O23 0.693 0.655 0.168
O24 0.736 0.562 0.787
O25 0.701 0.592 0.578
O26 0.684 0.116 0.904
O27 0.666 0.200 0.515
O28 0.834 0.800 0.015
O29 0.816 0.884 0.404
O30 0.799 0.408 0.078
O31 0.764 0.438 0.287
O32 0.807 0.345 0.668
O33 0.800 0.886 0.791
O34 0.847 0.900 0.198
O35 0.939 0.099 0.606
O36 0.008 0.078 0.311
```

=====

Record 4
A plane-wave DFT calculation with PBE-GGA was carried out for a relaxed Na5Al2SiGe2P5O24 crystal.

Values from the calculation:
- Energy relative to the elements: -2.69 eV per atom
- Crystal system: triclinic

Geometry as CIF:
```
data_Na5Al2SiGe2P5O24
_symmetry_space_group_name_H-M 'P 1'
_symmetry_Int_Tables_number 1
_cell_length_a 8.561
_cell_length_b 8.551
_cell_length_c 21.674
_cell_angle_alpha 90.15
_cell_angle_beta 89.71
_cell_angle_gamma 119.98
loop_
_symmetry_equiv_pos_as_xyz
'x,y,z'
loop_
_atom_site_label
_atom_site_fract_x
_atom_site_fract_y
_atom_site_fract_z
Na1 0.001 0.637 0.251
Na2 0.632 0.637 0.751
Na3 0.368 0.999 0.751
Na4 0.664 0.968 0.584
Na5 0.299 0.967 0.083
Na6 0.671 0.700 0.082
Na7 0.031 0.334 0.084
Na8 0.968 0.300 0.416
Na9 0.335 0.034 0.418
Na10 0.002 0.994 0.501
Na11 0.000 0.998 0.997
Na12 0.674 0.333 0.837
Na13 0.661 0.335 0.333
Na14 0.339 0.667 0.170
Na15 0.322 0.658 0.667
Al1 0.996 0.995 0.351
Al2 0.999 0.996 0.150
Al3 0.670 0.338 0.978
Al4 0.662 0.336 0.481
Al5 0.339 0.666 0.313
Al6 0.333 0.667 0.815
Si1 0.716 0.005 0.750
Si2 0.372 0.045 0.582
Si3 0.953 0.623 0.082
Ge1 0.997 0.002 0.855
Ge2 0.004 0.000 0.647
Ge3 0.670 0.327 0.684
Ge4 0.667 0.333 0.187
Ge5 0.327 0.666 0.014
Ge6 0.330 0.667 0.520
P1 0.293 0.004 0.250
P2 0.707 0.713 0.250
P3 0.001 0.286 0.250
P4 0.283 0.289 0.750
P5 0.000 0.709 0.750
P6 0.958 0.337 0.582
P7 0.667 0.617 0.583
P8 0.668 0.048 0.082
P9 0.380 0.332 0.082
P10 0.622 0.664 0.915
P11 0.043 0.377 0.915
P12 0.335 0.960 0.915
P13 0.623 0.952 0.416
P14 0.339 0.383 0.416
P15 0.041 0.666 0.416
O1 0.207 0.034 0.308
O2 0.834 0.796 0.305
O3 0.969 0.171 0.308
O4 0.208 0.162 0.807
O5 0.957 0.791 0.807
O6 0.842 0.040 0.810
O7 0.798 0.958 0.688
O8 0.168 0.206 0.692
O9 0.043 0.833 0.693
O10 0.792 0.824 0.191
O11 0.029 0.202 0.191
O12 0.173 0.967 0.192
O13 0.877 0.375 0.641
O14 0.502 0.125 0.644
O15 0.633 0.506 0.643
O16 0.876 0.495 0.145
O17 0.620 0.122 0.141
O18 0.501 0.376 0.141
O19 0.462 0.291 0.027
O20 0.821 0.530 0.025
O21 0.703 0.167 0.026
O22 0.464 0.164 0.521
O23 0.701 0.534 0.527
O24 0.838 0.299 0.525
O25 0.541 0.704 0.976
O26 0.159 0.454 0.976
O27 0.295 0.841 0.975
O28 0.544 0.838 0.476
O29 0.292 0.462 0.474
O30 0.167 0.708 0.473
O31 0.126 0.629 0.358
O32 0.496 0.866 0.361
O33 0.365 0.500 0.359
O34 0.136 0.499 0.860
O35 0.363 0.870 0.858
O36 0.506 0.638 0.859
O37 0.027 0.838 0.409
O38 0.814 0.977 0.409
O39 0.167 0.192 0.410
O40 0.030 0.189 0.911
O41 0.161 0.975 0.909
O42 0.812 0.837 0.911
O43 0.970 0.163 0.589
O44 0.173 0.023 0.591
O45 0.833 0.811 0.589
O46 0.981 0.824 0.092
O47 0.835 0.027 0.091
O48 0.189 0.168 0.092
O49 0.691 0.182 0.744
O50 0.476 0.311 0.743
O51 0.825 0.525 0.742
O52 0.693 0.521 0.244
O53 0.829 0.308 0.245
O54 0.482 0.175 0.243
O55 0.637 0.495 0.923
O56 0.857 0.357 0.924
O57 0.502 0.144 0.925
O58 0.645 0.143 0.423
O59 0.504 0.359 0.423
O60 0.857 0.495 0.425
O61 0.362 0.505 0.076
O62 0.158 0.644 0.076
O63 0.499 0.854 0.076
O64 0.359 0.845 0.576
O65 0.498 0.641 0.577
O66 0.148 0.504 0.576
O67 0.308 0.832 0.257
O68 0.520 0.691 0.258
O69 0.165 0.479 0.257
O70 0.308 0.478 0.758
O71 0.167 0.691 0.758
O72 0.515 0.826 0.757
```

=====

Record 5
A plane-wave DFT calculation with PBE-GGA was carried out for a relaxed Rb2LiTmCl6 crystal.

Values from the calculation:
- Energy relative to the elements: -2.47 eV per atom
- Crystal system: cubic

Geometry as CIF:
```
data_Rb2LiTmCl6
_symmetry_space_group_name_H-M 'P 1'
_symmetry_Int_Tables_number 1
_cell_length_a 7.361
_cell_length_b 7.361
_cell_length_c 7.361
_cell_angle_alpha 60.00
_cell_angle_beta 60.00
_cell_angle_gamma 60.00
loop_
_symmetry_equiv_pos_as_xyz
'x,y,z'
loop_
_atom_site_label
_atom_site_fract_x
_atom_site_fract_y
_atom_site_fract_z
Rb1 0.750 0.750 0.750
Rb2 0.250 0.250 0.250
Li1 0.500 0.500 0.500
Tm1 0.000 0.000 0.000
Cl1 0.750 0.250 0.250
Cl2 0.250 0.250 0.750
Cl3 0.250 0.750 0.750
Cl4 0.250 0.750 0.250
Cl5 0.750 0.250 0.750
Cl6 0.750 0.750 0.250
```

=====

Record 6
A plane-wave DFT calculation with PBE-GGA was carried out for a relaxed MgRh2O4 crystal.

Values from the calculation:
- Energy relative to the elements: -1.65 eV per atom
- Crystal system: cubic

Geometry as CIF:
```
data_MgRh2O4
_symmetry_space_group_name_H-M 'P 1'
_symmetry_Int_Tables_number 1
_cell_length_a 6.125
_cell_length_b 6.125
_cell_length_c 6.125
_cell_angle_alpha 60.00
_cell_angle_beta 60.00
_cell_angle_gamma 60.00
loop_
_symmetry_equiv_pos_as_xyz
'x,y,z'
loop_
_atom_site_label
_atom_site_fract_x
_atom_site_fract_y
_atom_site_fract_z
Mg1 0.750 0.750 0.750
Mg2 0.500 0.500 0.500
Rh1 0.125 0.125 0.625
Rh2 0.125 0.625 0.125
Rh3 0.625 0.125 0.125
Rh4 0.125 0.125 0.125
O1 0.885 0.345 0.885
O2 0.365 0.365 0.905
O3 0.365 0.365 0.365
O4 0.905 0.365 0.365
O5 0.885 0.885 0.885
O6 0.345 0.885 0.885
O7 0.365 0.905 0.365
O8 0.885 0.885 0.345
```

=====

Q: What is the formula in the first record?
A: CsSmCdTe3